VASP calculation (GGA-PBE) on a geometry-optimized CeSiRh2 structure.

extended XYZ file:
```
8
Lattice="1.995 -9.154 0.000 1.995 9.154 0.000 0.000 0.000 4.037" Properties=species:S:1:pos:R:3 pbc="T T T"
Ce 1.995 7.336 3.028
Ce 1.995 -7.336 1.009
Si 1.995 3.281 3.028
Si 1.995 -3.281 1.009
Rh 1.995 -0.912 1.009
Rh 1.995 0.912 3.028
Rh 1.995 4.575 1.009
Rh 1.995 -4.575 3.028
```

Summary:
DFT total energy   -60.1 eV for the cell shown
DFT formation energy   -1.00 eV/atom
Space group   Cmcm, No. 63